Entry 1:
Density functional theory data (GGA-PBE) for a relaxed structure of La2Be2O5.

Summary:
DFT total energy = -7.79 eV/atom
E_form = -3.492 eV/atom

a b c (Å): 5.296 5.296 7.458
angles (deg): 90.77 90.77 88.38
Element x y z (fractional)
La 0.200 0.272 0.194
La 0.272 0.200 0.694
La 0.728 0.800 0.306
La 0.800 0.728 0.806
Be 0.252 0.688 0.530
Be 0.312 0.748 0.970
Be 0.688 0.252 0.030
Be 0.748 0.312 0.470
O 0.000 0.500 0.500
O 0.056 0.744 0.084
O 0.247 0.753 0.750
O 0.256 0.944 0.416
O 0.500 0.000 0.000
O 0.500 0.500 0.000
O 0.500 0.500 0.500
O 0.744 0.056 0.584
O 0.753 0.247 0.250
O 0.944 0.256 0.916

=====

Entry 2:
Density functional theory data (GGA-PBE) for a relaxed structure of SrLa2BeO5.

Summary:
DFT total energy = -7.59 eV/atom
E_form = -3.523 eV/atom

a b c (Å): 9.791 6.735 7.401
angles (deg): 90.00 90.00 90.00
Element x y z (fractional)
Sr 0.175 0.083 0.000
Sr 0.325 0.583 0.500
Sr 0.675 0.417 0.000
Sr 0.825 0.917 0.500
La 0.024 0.596 0.764
La 0.172 0.075 0.546
La 0.328 0.575 0.046
La 0.476 0.096 0.264
La 0.524 0.904 0.764
La 0.672 0.425 0.546
La 0.828 0.925 0.046
La 0.976 0.404 0.264
Be 0.099 0.808 0.268
Be 0.401 0.308 0.768
Be 0.599 0.692 0.268
Be 0.901 0.192 0.768
O 0.010 0.016 0.267
O 0.067 0.696 0.458
O 0.068 0.689 0.078
O 0.222 0.337 0.264
O 0.231 0.365 0.768
O 0.269 0.865 0.268
O 0.278 0.837 0.764
O 0.432 0.189 0.578
O 0.433 0.196 0.958
O 0.490 0.516 0.767
O 0.510 0.484 0.267
O 0.567 0.804 0.458
O 0.568 0.811 0.078
O 0.722 0.163 0.264
O 0.731 0.135 0.768
O 0.769 0.635 0.268
O 0.778 0.663 0.764
O 0.932 0.311 0.578
O 0.933 0.304 0.958
O 0.990 0.984 0.767

=====

Entry 3:
Density functional theory data (GGA-PBE) for a relaxed structure of Sr2LaBeO5.

Summary:
DFT total energy = -6.86 eV/atom
E_form = -3.155 eV/atom

a b c (Å): 9.764 7.506 6.692
angles (deg): 90.00 90.00 90.00
Element x y z (fractional)
Sr 0.173 0.025 0.086
Sr 0.173 0.475 0.086
Sr 0.327 0.525 0.586
Sr 0.327 0.975 0.586
Sr 0.673 0.025 0.414
Sr 0.673 0.475 0.414
Sr 0.827 0.525 0.914
Sr 0.827 0.975 0.914
La 0.029 0.250 0.596
La 0.471 0.750 0.096
La 0.529 0.250 0.904
La 0.971 0.750 0.404
Be 0.102 0.750 0.811
Be 0.398 0.250 0.311
Be 0.602 0.750 0.689
Be 0.898 0.250 0.189
O 0.013 0.750 0.026
O 0.064 0.565 0.690
O 0.064 0.935 0.690
O 0.222 0.750 0.328
O 0.232 0.250 0.371
O 0.268 0.750 0.871
O 0.278 0.250 0.828
O 0.436 0.065 0.190
O 0.436 0.435 0.190
O 0.487 0.250 0.526
O 0.513 0.750 0.474
O 0.564 0.565 0.810
O 0.564 0.935 0.810
O 0.722 0.750 0.172
O 0.732 0.250 0.129
O 0.768 0.750 0.629
O 0.778 0.250 0.672
O 0.936 0.065 0.310
O 0.936 0.435 0.310
O 0.987 0.250 0.974

=====

- Which value of E_form does entry 3 give?
  -3.155 eV/atom

=====

- Among the records above, which one has the lowest DFT total energy?
  La2Be2O5